Entry 1:
Compound: Li4MnV3O12
Source: the Materials Project database
Functional: PBE with a Hubbard U
Structure: relaxed

Cell and atoms, written as CIF:
```
data_Li4MnV3O12
_cell_length_a 4.9143
_cell_length_b 8.3195
_cell_length_c 4.9273
_cell_angle_alpha 90.00
_cell_angle_beta 90.74
_cell_angle_gamma 90.00
_symmetry_space_group_name_H-M 'P 1 2 1'
_symmetry_Int_Tables_number 3
_symmetry_space_group_name_Hall 'P 2y'
loop_
_atom_site_label
_atom_site_type_symbol
_atom_site_fract_x
_atom_site_fract_y
_atom_site_fract_z
Li1 Li 0.0000 0.0000 0.0000
Li2 Li 0.0000 0.1153 0.5000
Li3 Li 0.5000 0.4981 0.5000
Li4 Li 0.5000 0.6231 0.0000
Mn1 Mn 0.0000 0.7137 0.5000
V1 V 0.0000 0.4114 0.0000
V2 V 0.5000 0.2242 0.0000
V3 V 0.5000 0.9172 0.5000
O1 O 0.1409 0.5475 0.7591
O2 O 0.1786 0.8791 0.7002
O3 O 0.1797 0.2211 0.8093
O4 O 0.3258 0.3792 0.2050
O5 O 0.3387 0.7186 0.3214
O6 O 0.3604 0.0493 0.2515
```

Values from the calculation:
Electronic total energy ... -132.387 eV for the cell shown
Formation enthalpy at 0 K ... -2.199 eV per atom
Energy with MP2020 corrections ... -147.40 eV/cell


Entry 2:
Compound: Li2MnVO4
Source: the Materials Project database
Functional: PBE with a Hubbard U
Structure: relaxed

Cell and atoms, written as CIF:
```
data_Li2MnVO4
_cell_length_a 8.2594
_cell_length_b 8.3049
_cell_length_c 6.0422
_cell_angle_alpha 90.00
_cell_angle_beta 132.52
_cell_angle_gamma 90.00
_symmetry_space_group_name_H-M 'C 1 2/c 1'
_symmetry_Int_Tables_number 15
_symmetry_space_group_name_Hall '-C 2yc'
loop_
_atom_site_label
_atom_site_type_symbol
_atom_site_fract_x
_atom_site_fract_y
_atom_site_fract_z
Li1 Li 0.0000 0.0000 0.0000
Li2 Li 0.2500 0.2500 0.0000
Mn1 Mn 0.2500 0.2500 0.5000
V1 V 0.0000 0.5000 0.0000
O1 O 0.0182 0.2564 0.5115
O2 O 0.2355 0.4887 0.4797
```

Values from the calculation:
Electronic total energy ... -216.939 eV for the cell shown
Formation enthalpy at 0 K ... -2.312 eV per atom
Energy with MP2020 corrections ... -241.40 eV/cell